Record 1
Computed, not measured: a geometry-optimized SmAsO4 structure at the meta-GGA r2SCAN level of DFT.

Structure (extended XYZ):
```
12
Lattice="-3.606 3.606 3.203 3.606 -3.606 3.203 3.606 3.606 -3.203" Properties=species:S:1:pos:R:3 pbc="T T T"
Sm 3.606 1.803 0.801
Sm 0.000 1.803 2.402
As 3.606 -1.803 2.402
As 0.000 5.409 0.801
O 3.606 -0.508 1.307
O 3.606 3.098 -1.307
O 1.295 1.803 0.295
O 2.311 -1.803 3.497
O 1.295 5.409 -0.295
O 2.311 1.803 2.908
O 0.000 0.508 4.509
O 0.000 4.114 1.896
```

Its formation enthalpy at 0 K is -2.61 eV per atom. Its total moment is 0.0 μB/cell. The mass density comes out at 5.8 g cm⁻³. The uncorrected energy comes out at -13.996 eV per atom.

---

Record 2
Computed, not measured: a geometry-optimized LiBeB structure at the meta-GGA r2SCAN level of DFT.

Structure (extended XYZ):
```
6
Lattice="3.704 0.000 0.000 0.000 2.999 0.000 -0.856 0.000 5.681" Properties=species:S:1:pos:R:3 pbc="T T T"
Li 0.528 0.750 1.906
Li 2.320 2.249 3.775
Be 0.543 0.750 5.051
Be 2.305 2.249 0.631
B 0.413 2.249 0.152
B 2.435 0.750 5.530
```

Its formation enthalpy at 0 K is -0.14 eV per atom. Its total moment is 0.0 μB/cell. The mass density comes out at 1.4 g cm⁻³. The uncorrected energy comes out at -4.834 eV per atom.